1.
An optimized crystal structure of Sr6La3Ti3Cu3O20, computed with PBE-GGA.

Summary:
Energy of formation, kcal/mol of atoms: -70.36
Electronic total energy, eV/atom: -7.2269
Corrected total energy (MP2020 scheme), eV for the cell shown: -266.68
Space-group type: P1 (1)

Lattice parameters (Å, degrees): 3.9210 11.7190 10.5422 100.59 100.51 90.00
With the nearest neighbours (Å) after each atom.
Positions (direct):
O 0.1057 0.8677 0.2064  2 Ti 1.96-1.99
O 0.6098 0.7050 0.2009  2 Ti 1.98-2.10
O 0.8968 0.1330 0.8183  2 Cu 1.95-1.98
O 0.1018 0.5453 0.1987  2 Ti 1.93-2.02
O 0.5014 0.5058 0.0048  2 Ti 1.94-2.06
O 0.4944 0.8293 0.0028  1 Ti 1.85, 1 Cu 2.05
O 0.6115 0.3631 0.1869  1 Ti 1.89, 1 Cu 1.93
O 0.7187 0.2362 0.4210  1 La 2.27, 1 Cu 2.40
O 0.1070 0.1973 0.1743  2 Cu 1.96
O 0.3985 0.2986 0.8217  1 Cu 1.91, 1 Ti 2.05
O 0.8871 0.8039 0.8006  2 Cu 1.96
O 0.3256 0.4191 0.6156  1 Ti 1.92
O 0.6830 0.8945 0.4025  1 Ti 2.24, 1 La 2.42
O 0.3836 0.6267 0.7979  1 Ti 1.85, 1 Cu 2.04
O 0.6053 0.0333 0.1792  1 Ti 1.92, 1 Cu 1.92
O 0.9021 0.4590 0.8130  2 Ti 1.94-2.00
O 0.3791 0.9722 0.8045  2 Cu 1.88-2.00
O 0.3306 0.1020 0.5982  1 Cu 2.16
O 0.6767 0.5691 0.3905  1 Ti 2.01
O 0.3009 0.7760 0.5946  1 Cu 2.11, 1 La 2.36
Sr 0.9986 0.3357 0.9989  10 O 2.62-2.90
Sr 0.2089 0.3778 0.3680  6 O 2.52-2.74
Sr 0.7986 0.6150 0.6334  5 O 2.47-2.74
Sr 0.1964 0.0732 0.3598  6 O 2.43-2.71
Sr 0.0035 0.9936 0.9911  10 O 2.64-2.90
Sr 0.9962 0.6679 0.9935  12 O 2.70-2.91
Ti 0.5979 0.8702 0.1835  5 O 1.85-1.99
Ti 0.6110 0.5251 0.1943  6 O 1.89-2.10
Ti 0.3897 0.4693 0.8023  6 O 1.85-2.06
Cu 0.3893 0.1336 0.8095  4 O 1.88-1.98
Cu 0.3875 0.8014 0.8016  6 O 1.96-2.11
Cu 0.6119 0.1982 0.1851  4 O 1.92-1.96
La 0.7892 0.9410 0.6403  7 O 2.42-2.65
La 0.8073 0.2615 0.6430  1 O 2.27
La 0.1945 0.7329 0.3632  6 O 2.36-2.62

2.
An optimized crystal structure of Mg3As2O8, computed with PBE-GGA.

Summary:
Energy of formation, kcal/mol of atoms: -56.35
Electronic total energy, eV/atom: -6.1520
Corrected total energy (MP2020 scheme), eV for the cell shown: -341.89
Space-group type: P2_1/c (14)

Lattice parameters (Å, degrees): 8.9091 6.6237 11.1745 87.12 90.00 90.00
With the nearest neighbours (Å) after each atom.
Positions (direct):
O 0.7344 0.0427 0.6072  1 As 1.72
O 0.6346 0.7933 0.9570  1 As 1.74
O 0.7389 0.4006 0.9113  1 As 1.73
O 0.2344 0.9573 0.8928  1 As 1.72
O 0.5676 0.4773 0.1462  1 As 1.70
O 0.0777 0.9226 0.1193  1 As 1.73
O 0.7656 0.0427 0.1072  1 As 1.72
O 0.9585 0.1325 0.2988  1 As 1.72
O 0.6574 0.6693 0.7199  1 As 1.73
O 0.4585 0.8675 0.2012  1 As 1.72
O 0.9223 0.0774 0.8807  1 As 1.73
O 0.0024 0.3270 0.0727  1 As 1.73
O 0.8426 0.6693 0.2199  1 As 1.73
O 0.7611 0.4006 0.4113  1 As 1.73
O 0.3654 0.2067 0.0430  1 As 1.74
O 0.4324 0.5227 0.8538  1 As 1.70
O 0.3426 0.3307 0.2801  1 As 1.73
O 0.9976 0.6730 0.9273  1 As 1.73
O 0.5024 0.6730 0.4273  1 As 1.73
O 0.8654 0.7933 0.4570  1 As 1.74
O 0.1574 0.3307 0.7801  1 As 1.73
O 0.2611 0.5994 0.0887  1 As 1.73
O 0.4223 0.9226 0.6193  1 As 1.73
O 0.9324 0.4773 0.6462  1 As 1.70
O 0.0415 0.8675 0.7012  1 As 1.72
O 0.2656 0.9573 0.3928  1 As 1.72
O 0.5777 0.0774 0.3807  1 As 1.73
O 0.4976 0.3270 0.5727  1 As 1.73
O 0.2389 0.5994 0.5887  1 As 1.73
O 0.5415 0.1325 0.7988  1 As 1.72
O 0.0676 0.5227 0.3538  1 As 1.70
O 0.1346 0.2067 0.5430  1 As 1.74
As 0.5547 0.1051 0.6467  4 O 1.72-1.73
As 0.3847 0.4100 0.1339  4 O 1.70-1.74
As 0.1153 0.4100 0.6339  4 O 1.70-1.74
As 0.9453 0.1051 0.1467  4 O 1.72-1.73
As 0.6153 0.5900 0.8661  4 O 1.70-1.74
As 0.8847 0.5900 0.3661  4 O 1.70-1.74
As 0.4453 0.8949 0.3533  4 O 1.72-1.73
As 0.0547 0.8949 0.8533  4 O 1.72-1.73
Mg 0.9672 0.3820 0.8833  5 O 2.03-2.15
Mg 0.2960 0.9095 0.0725  5 O 2.02-2.09
Mg 0.3438 0.2411 0.8634  5 O 1.98-2.13
Mg 0.6562 0.7589 0.1366  5 O 1.98-2.13
Mg 0.5328 0.3820 0.3833  5 O 2.03-2.15
Mg 0.0328 0.6180 0.1167  5 O 2.03-2.15
Mg 0.4672 0.6180 0.6167  5 O 2.03-2.15
Mg 0.7960 0.0905 0.4275  5 O 2.02-2.09
Mg 0.1562 0.2411 0.3634  5 O 1.98-2.13
Mg 0.7040 0.0905 0.9275  5 O 2.02-2.09
Mg 0.2040 0.9095 0.5725  5 O 2.02-2.09
Mg 0.8438 0.7589 0.6366  5 O 1.98-2.13

3.
An optimized crystal structure of Ba3Y2Br12, computed with PBE-GGA.

Summary:
Energy of formation, kcal/mol of atoms: -55.01
Electronic total energy, eV/atom: -4.2633
Corrected total energy (MP2020 scheme), eV for the cell shown: -157.77
Space-group type: C2/c (15)

Lattice parameters (Å, degrees): 9.6258 9.6258 15.9364 79.61 79.61 111.11
With the nearest neighbours (Å) after each atom.
Positions (direct):
Br 0.2610 0.8649 0.0658  1 Y 2.91
Br 0.5720 0.5879 0.6044  1 Y 3.10, 2 Ba 3.30-3.32
Br 0.9274 0.8465 0.9401  1 Y 2.79
Br 0.0029 0.4967 0.7548  1 Y 2.88
Br 0.4121 0.4280 0.8956  1 Y 3.10, 2 Ba 3.30-3.32
Br 0.5033 0.9971 0.7452  1 Y 2.88
Br 0.8649 0.2610 0.5658  1 Y 2.91
Br 0.1351 0.7390 0.4342  1 Y 2.91
Br 0.9971 0.5033 0.2452  1 Y 2.88
Br 0.8265 0.3679 0.0732  1 Y 2.82
Br 0.3679 0.8265 0.5732  1 Y 2.82
Br 0.7844 0.8258 0.7311  1 Y 2.79
Br 0.8258 0.7844 0.2311  1 Y 2.79
Br 0.4280 0.4121 0.3956  1 Y 3.10, 2 Ba 3.30-3.32
Br 0.6321 0.1735 0.4268  1 Y 2.82
Br 0.8465 0.9274 0.4401  1 Y 2.79
Br 0.0726 0.1535 0.0599  1 Y 2.79
Br 0.5879 0.5720 0.1044  1 Y 3.10, 2 Ba 3.30-3.32
Br 0.4967 0.0029 0.2548  1 Y 2.88
Br 0.7390 0.1351 0.9342  1 Y 2.91
Br 0.1735 0.6321 0.9268  1 Y 2.82
Br 0.1535 0.0726 0.5599  1 Y 2.79
Br 0.2156 0.1742 0.2689  1 Y 2.79
Br 0.1742 0.2156 0.7689  1 Y 2.79
Y 0.9352 0.6688 0.0969  6 Br 2.79-3.10
Y 0.3312 0.0648 0.4031  6 Br 2.79-3.10
Y 0.0648 0.3312 0.9031  6 Br 2.79-3.10
Y 0.6688 0.9352 0.5969  6 Br 2.79-3.10
Ba 0.8622 0.1378 0.2500  8 Br 3.26-3.41
Ba 0.4474 0.2209 0.0733  7 Br 3.28-3.48
Ba 0.1378 0.8622 0.7500  8 Br 3.26-3.41
Ba 0.7791 0.5526 0.4267  7 Br 3.28-3.48
Ba 0.2209 0.4474 0.5733  7 Br 3.28-3.48
Ba 0.5526 0.7791 0.9267  7 Br 3.28-3.48

4.
An optimized crystal structure of TlCu2O2, computed with PBE-GGA.

Summary:
Energy of formation, kcal/mol of atoms: -19.19
Electronic total energy, eV/atom: -4.6486
Corrected total energy (MP2020 scheme), eV for the cell shown: -49.23
Space-group type: Imma (74)

Lattice parameters (Å, degrees): 6.1537 6.1537 6.1537 126.06 119.62 85.25
With the nearest neighbours (Å) after each atom.
Positions (direct):
Cu 0.5000 0.5000 0.5000  4 O 1.98
Cu 0.0000 0.5000 0.5000  2 O 1.83
Cu 0.5000 0.5000 0.0000  2 O 1.83
Cu 0.5000 0.0000 0.0000  4 O 1.98
O 0.3341 0.2989 0.0352  3 Cu 1.83-1.98
O 0.6659 0.7011 0.9648  3 Cu 1.83-1.98
O 0.7637 0.2989 0.4648  3 Cu 1.83-1.98
O 0.2363 0.7011 0.5352  3 Cu 1.83-1.98
Tl 0.8561 0.1061 0.7500  2 O 2.48
Tl 0.1439 0.8939 0.2500  2 O 2.48

5.
An optimized crystal structure of LaB4ClO8, computed with PBE-GGA.

Summary:
Energy of formation, kcal/mol of atoms: -61.55
Electronic total energy, eV/atom: -7.4970
Corrected total energy (MP2020 scheme), eV for the cell shown: -220.91
Space-group type: Cc (9)

Lattice parameters (Å, degrees): 6.5864 6.5864 9.8782 82.06 82.06 119.71
With the nearest neighbours (Å) after each atom.
Positions (direct):
O 0.4592 0.7897 0.7883  2 B 1.37-1.50
O 0.0391 0.4719 0.8080  2 B 1.48
O 0.9259 0.0681 0.8477  2 B 1.37-1.47
O 0.2333 0.7671 0.6064  1 B 1.45
O 0.7897 0.4592 0.2883  2 B 1.37-1.50
O 0.7216 0.6498 0.8564  2 B 1.39-1.40
O 0.7671 0.2333 0.1064  1 B 1.45
O 0.0681 0.9259 0.3477  2 B 1.37-1.47
O 0.1529 0.8797 0.8246  2 B 1.37-1.47
O 0.3659 0.1840 0.1264  1 B 1.45
O 0.8797 0.1529 0.3246  2 B 1.37-1.47
O 0.4719 0.0391 0.3080  2 B 1.48
O 0.1840 0.3659 0.6264  1 B 1.45
O 0.3722 0.3418 0.3372  2 B 1.38-1.48
O 0.6498 0.7216 0.3564  2 B 1.39-1.40
O 0.3418 0.3722 0.8372  2 B 1.38-1.48
La 0.1569 0.5685 0.4075  6 O 2.46-2.70
La 0.5685 0.1569 0.9075  6 O 2.46-2.70
B 0.1294 0.3125 0.7791  4 O 1.45-1.48
B 0.9356 0.8659 0.8423  3 O 1.37-1.39
B 0.7325 0.2231 0.2556  4 O 1.45-1.50
B 0.2231 0.7325 0.7556  4 O 1.45-1.50
B 0.8659 0.9356 0.3423  3 O 1.37-1.39
B 0.6116 0.5040 0.3286  3 O 1.37-1.40
B 0.5040 0.6116 0.8286  3 O 1.37-1.40
B 0.3125 0.1294 0.2791  4 O 1.45-1.48
Cl 0.3249 0.6795 0.1021  2 La 2.92-2.94, 1 B 2.98, 5 O 2.98-3.24
Cl 0.6795 0.3249 0.6021  2 La 2.92-2.94, 1 B 2.98, 5 O 2.98-3.24

6.
An optimized crystal structure of Ba2LaNbCu2O8, computed with PBE-GGA.

Summary:
Energy of formation, kcal/mol of atoms: -62.15
Electronic total energy, eV/atom: -7.0638
Corrected total energy (MP2020 scheme), eV for the cell shown: -208.78
Space-group type: I4/mcm (140)

Lattice parameters (Å, degrees): 12.8291 12.8291 12.8291 154.47 154.47 36.41
With the nearest neighbours (Å) after each atom.
Positions (direct):
O 0.0652 0.0634 0.5000  2 Cu 2.01
O 0.5817 0.5817 0.0000  1 Nb 1.99
O 0.0817 0.0817 0.0000  1 Nb 1.99
O 0.5634 0.5652 0.5000  2 Cu 2.01
O 0.7781 0.7219 0.5000  2 Nb 2.02
O 0.5652 0.0652 0.0018  2 Cu 2.01
O 0.4348 0.9348 0.9982  2 Cu 2.01
O 0.9183 0.9183 0.0000  1 Nb 1.99
O 0.4183 0.4183 0.0000  1 Nb 1.99
O 0.4366 0.4348 0.5000  2 Cu 2.01
O 0.0634 0.5634 0.9982  2 Cu 2.01
O 0.2219 0.2781 0.5000  2 Nb 2.02
O 0.7219 0.2219 0.9439  2 Nb 2.02
O 0.9348 0.9366 0.5000  2 Cu 2.01
O 0.2781 0.7781 0.0561  2 Nb 2.02
O 0.9366 0.4366 0.0018  2 Cu 2.01
La 0.2500 0.7500 0.5000  8 O 2.54-2.55
La 0.7500 0.2500 0.5000  8 O 2.54-2.55
Ba 0.5977 0.0977 0.5000  10 O 2.86-2.97
Ba 0.0977 0.5977 0.5000  10 O 2.86-2.97
Ba 0.9023 0.4023 0.5000  10 O 2.86-2.97
Ba 0.4023 0.9023 0.5000  10 O 2.86-2.97
Cu 0.3220 0.3220 0.0000  4 O 2.01
Cu 0.8220 0.8220 0.0000  4 O 2.01
Cu 0.1780 0.1780 0.0000  4 O 2.01
Cu 0.6780 0.6780 0.0000  4 O 2.01
Nb 0.0000 0.0000 0.0000  6 O 1.99-2.02
Nb 0.5000 0.5000 0.0000  6 O 1.99-2.02

7.
An optimized crystal structure of Ca3Ni2N4, computed with PBE-GGA.

Summary:
Energy of formation, kcal/mol of atoms: -11.87
Electronic total energy, eV/atom: -6.0123
Corrected total energy (MP2020 scheme), eV for the cell shown: -111.11
Space-group type: C2/c (15)

Lattice parameters (Å, degrees): 6.6931 8.3455 5.4164 90.00 91.66 128.57
With the nearest neighbours (Å) after each atom.
Positions (direct):
N 0.2327 0.2912 0.0206  2 Ni 1.92-1.99
N 0.3277 0.7345 0.0809  2 Ni 1.90-1.96
N 0.2327 0.9415 0.5206  2 Ni 1.92-1.99
N 0.3277 0.5933 0.5809  2 Ni 1.90-1.96
N 0.7673 0.0585 0.4794  2 Ni 1.92-1.99
N 0.6723 0.2656 0.9191  2 Ni 1.90-1.96
N 0.7673 0.7088 0.9794  2 Ni 1.92-1.99
N 0.6723 0.4067 0.4191  2 Ni 1.90-1.96
Ca 0.7551 0.0107 0.9510  5 N 2.43-2.58
Ca 0.2449 0.9893 0.0490  5 N 2.43-2.58
Ca 0.0000 0.5961 0.7500  6 N 2.41-2.61
Ca 0.0000 0.4039 0.2500  6 N 2.41-2.61
Ca 0.7551 0.7444 0.4510  5 N 2.43-2.58
Ca 0.2449 0.2556 0.5490  5 N 2.43-2.58
Ni 0.4126 0.5775 0.9124  4 N 1.90-1.99
Ni 0.4126 0.8351 0.4124  4 N 1.90-1.99
Ni 0.5874 0.1649 0.5876  4 N 1.90-1.99
Ni 0.5874 0.4225 0.0876  4 N 1.90-1.99

8.
An optimized crystal structure of Er5Tl3, computed with PBE-GGA.

Summary:
Energy of formation, kcal/mol of atoms: -6.74
Electronic total energy, eV/atom: -4.0331
Space-group type: P6_3/mcm (193)

Lattice parameters (Å, degrees): 8.9315 8.9315 6.7041 90.00 90.00 120.00
With the nearest neighbours (Å) after each atom.
Positions (direct):
Er 0.6667 0.3333 0.5000  6 Tl 3.20, 2 Er 3.35
Er 0.2369 0.0000 0.7500  3 Tl 3.12-3.23
Er 0.7631 0.7631 0.7500  3 Tl 3.12-3.23
Er 0.6667 0.3333 0.0000  6 Tl 3.20, 2 Er 3.35
Er 0.3333 0.6667 0.5000  6 Tl 3.20, 2 Er 3.35
Er 0.0000 0.7631 0.2500  3 Tl 3.12-3.23
Er 0.7631 0.0000 0.2500  3 Tl 3.12-3.23
Er 0.0000 0.2369 0.7500  3 Tl 3.12-3.23
Er 0.2369 0.2369 0.2500  3 Tl 3.12-3.23
Er 0.3333 0.6667 0.0000  6 Tl 3.20, 2 Er 3.35
Tl 0.0000 0.4009 0.2500  7 Er 3.12-3.23
Tl 0.4009 0.0000 0.2500  7 Er 3.12-3.23
Tl 0.0000 0.5991 0.7500  7 Er 3.12-3.23
Tl 0.5991 0.5991 0.2500  7 Er 3.12-3.23
Tl 0.5991 0.0000 0.7500  7 Er 3.12-3.23
Tl 0.4009 0.4009 0.7500  7 Er 3.12-3.23

9.
An optimized crystal structure of Li3BiO3, computed with PBE-GGA.

Summary:
Energy of formation, kcal/mol of atoms: -43.06
Electronic total energy, eV/atom: -5.0673
Corrected total energy (MP2020 scheme), eV for the cell shown: -150.13
Space-group type: P2_13 (198)

Lattice parameters (Å, degrees): 7.1650 7.1650 7.1650 90.00 90.00 90.00
With the nearest neighbours (Å) after each atom.
Positions (direct):
O 0.7478 0.8819 0.5027  3 Li 1.91-2.06
O 0.9973 0.2522 0.3819  3 Li 1.91-2.06
O 0.0027 0.7522 0.1181  3 Li 1.91-2.06
O 0.7522 0.1181 0.0027  3 Li 1.91-2.06
O 0.4973 0.2478 0.6181  3 Li 1.91-2.06
O 0.8819 0.5027 0.7478  3 Li 1.91-2.06
O 0.6181 0.4973 0.2478  3 Li 1.91-2.06
O 0.1181 0.0027 0.7522  3 Li 1.91-2.06
O 0.2478 0.6181 0.4973  3 Li 1.91-2.06
O 0.3819 0.9973 0.2522  3 Li 1.91-2.06
O 0.5027 0.7478 0.8819  3 Li 1.91-2.06
O 0.2522 0.3819 0.9973  3 Li 1.91-2.06
Li 0.4767 0.5233 0.0233  3 O 1.91
Li 0.2536 0.7464 0.2464  3 O 2.02
Li 0.7445 0.7555 0.2445  3 O 2.06
Li 0.7464 0.2464 0.2536  3 O 2.02
Li 0.5233 0.0233 0.4767  3 O 1.91
Li 0.2555 0.2555 0.2555  3 O 2.06
Li 0.7555 0.2445 0.7445  3 O 2.06
Li 0.0233 0.4767 0.5233  3 O 1.91
Li 0.7536 0.7536 0.7536  3 O 2.02
Li 0.2464 0.2536 0.7464  3 O 2.02
Li 0.9767 0.9767 0.9767  3 O 1.91
Li 0.2445 0.7445 0.7555  3 O 2.06
Bi 0.5343 0.5343 0.5343  3 O 2.16
Bi 0.9657 0.4657 0.0343  3 O 2.16
Bi 0.0343 0.9657 0.4657  3 O 2.16
Bi 0.4657 0.0343 0.9657  3 O 2.16

10.
An optimized crystal structure of Ba2Ca4TlCu5O13, computed with PBE-GGA.

Summary:
Energy of formation, kcal/mol of atoms: -47.45
Electronic total energy, eV/atom: -5.6620
Corrected total energy (MP2020 scheme), eV for the cell shown: -150.48
Space-group type: Pmm2 (25)

Lattice parameters (Å, degrees): 3.8378 3.8526 22.6698 90.00 90.00 90.00
With the nearest neighbours (Å) after each atom.
Positions (direct):
O 0.5000 0.0001 0.1422  2 Cu 1.93
O 0.5000 0.5034 0.5932  1 Tl 2.13
O 0.5000 0.0026 0.7171  2 Cu 1.94
O 0.0000 0.5024 0.2825  2 Cu 1.93
O 0.0000 0.5001 0.8579  2 Cu 1.92
O 0.5000 0.0001 0.8578  2 Cu 1.93
O 0.5000 0.0000 0.0000  2 Cu 1.93
O 0.5000 0.0026 0.2829  2 Cu 1.94
O 0.0000 0.5001 0.1421  2 Cu 1.92
O 0.5000 0.5034 0.4068  1 Tl 2.13
O 0.0000 0.5000 0.0000  2 Cu 1.92
O 0.0000 0.5024 0.7175  2 Cu 1.93
O 0.0000 0.9369 0.5000  2 Tl 2.35
Tl 0.5000 0.5836 0.5000  4 O 2.13-2.35
Ca 0.0000 0.0000 0.9266  8 O 2.47-2.54
Ca 0.0000 0.0000 0.0734  8 O 2.47-2.54
Ca 0.0000 0.0011 0.7797  8 O 2.38-2.62
Ca 0.0000 0.0011 0.2203  8 O 2.38-2.62
Ba 0.0000 0.0111 0.6178  9 O 2.69-2.99
Ba 0.0000 0.0111 0.3822  9 O 2.69-2.99
Cu 0.5000 0.5029 0.7085  4 O 1.93-1.94
Cu 0.5000 0.5029 0.2915  4 O 1.93-1.94
Cu 0.5000 0.5001 0.8547  4 O 1.92-1.93
Cu 0.5000 0.5001 0.1453  4 O 1.92-1.93
Cu 0.5000 0.5000 0.0000  4 O 1.92-1.93

11.
An optimized crystal structure of PuSi2, computed with PBE-GGA.

Summary:
Energy of formation, kcal/mol of atoms: -10.13
Electronic total energy, eV/atom: -8.8592
Corrected total energy (MP2020 scheme), eV for the cell shown: -52.87
Space-group type: I4_1/amd (141)

Lattice parameters (Å, degrees): 4.0002 4.0002 7.5756 105.31 105.31 90.00
With the nearest neighbours (Å) after each atom.
Positions (direct):
Si 0.1673 0.6673 0.3345  3 Si 2.33
Si 0.3327 0.8327 0.6655  3 Si 2.33
Si 0.9173 0.9173 0.8345  3 Si 2.33
Si 0.0827 0.0827 0.1655  3 Si 2.33
Pu 0.7500 0.2500 0.5000  12 Si 3.06-3.09
Pu 0.5000 0.5000 0.0000  12 Si 3.06-3.09

no.,V (Å³/atom)
1,13.369
2,12.665
3,38.398
4,15.643
5,12.779
6,13.985
7,13.133
8,28.947
9,13.137
10,13.407
11,18.742